First-principles (PBE+U) data for a geometry-optimized Sr4Ca4Mn5Fe3O24 structure, as listed in the Materials Project.

```
Sr4Ca4Mn5Fe3O24
1.0
7.714 0.000 0.000
0.002 7.715 0.000
0.000 0.000 7.756
Sr Ca Mn Fe O
4 4 5 3 24
Direct
0.000 0.000 0.000
0.000 0.000 0.499
0.499 0.000 0.000
0.499 0.499 0.499
0.000 0.499 0.001
0.000 0.499 0.498
0.499 0.000 0.498
0.499 0.499 0.000
0.250 0.251 0.249
0.250 0.251 0.749
0.250 0.748 0.249
0.750 0.251 0.249
0.750 0.748 0.249
0.250 0.748 0.749
0.750 0.251 0.749
0.750 0.748 0.749
0.000 0.256 0.249
0.002 0.255 0.749
0.247 0.499 0.247
0.248 0.497 0.751
0.250 0.251 0.499
0.250 0.256 0.000
0.250 0.744 0.004
0.250 0.748 0.495
0.252 0.000 0.252
0.252 0.002 0.747
0.497 0.251 0.749
0.499 0.250 0.249
0.500 0.749 0.249
0.501 0.748 0.749
0.747 0.999 0.252
0.748 0.998 0.747
0.750 0.251 0.495
0.750 0.255 0.004
0.750 0.744 0.002
0.750 0.748 0.497
0.751 0.501 0.751
0.752 0.500 0.247
0.998 0.745 0.749
0.999 0.744 0.249
```

Results
calculated density = 4.8 g/cm³
spin magnetization = 29.44 μB per formula unit
E = -0.4907 Ry/atom



First-principles (PBE+U) data for a geometry-optimized VO structure, as listed in the Materials Project.

```
VO
1.0
-0.252 -2.019 2.381
5.456 -5.500 -4.145
2.441 1.359 1.410
V O
4 4
Direct
0.999 0.493 0.000
0.501 0.757 0.500
0.999 0.993 0.000
0.501 0.257 0.500
0.002 0.744 0.000
0.498 0.006 0.500
0.002 0.244 0.000
0.498 0.506 0.500
```

Results
calculated density = 5.2 g/cm³
spin magnetization = 0.00 μB per formula unit
E = -0.5786 Ry/atom



First-principles (PBE+U) data for a geometry-optimized Y6MgMn6O18 structure, as listed in the Materials Project.

```
Y6MgMn6O18
1.0
3.115 -5.520 0.000
3.115 5.520 0.000
-0.275 0.000 11.910
Y Mg Mn O
6 1 6 18
Direct
0.000 0.000 0.000
0.025 0.025 0.462
0.338 0.666 0.925
0.358 0.687 0.419
0.666 0.338 0.925
0.687 0.358 0.419
0.974 0.974 0.777
0.015 0.670 0.197
0.354 0.354 0.195
0.371 0.998 0.685
0.535 0.535 0.674
0.670 0.015 0.197
0.998 0.371 0.685
0.006 0.396 0.527
0.010 0.643 0.030
0.024 0.713 0.356
0.155 0.155 0.650
0.279 0.993 0.848
0.326 0.680 0.721
0.328 0.328 0.367
0.346 0.688 0.216
0.363 0.363 0.019
0.396 0.006 0.527
0.643 0.010 0.030
0.680 0.326 0.721
0.680 0.680 0.525
0.688 0.346 0.216
0.708 0.708 0.858
0.713 0.024 0.356
0.993 0.279 0.848
0.995 0.995 0.179
```

Results
calculated density = 4.8 g/cm³
spin magnetization = 26.00 μB per formula unit
E = -0.6009 Ry/atom
polymorph energy (0 for the lowest one) = 23 meV per atom



First-principles (PBE+U) data for a geometry-optimized NiSeO3 structure, as listed in the Materials Project.

```
NiSeO3
1.0
5.950 0.000 0.000
0.000 7.627 0.000
0.000 0.000 5.014
Ni Se O
4 4 12
Direct
0.000 0.000 0.000
0.000 0.500 0.000
0.500 0.000 0.500
0.500 0.500 0.500
0.020 0.250 0.481
0.480 0.750 0.981
0.520 0.250 0.019
0.980 0.750 0.519
0.073 0.250 0.825
0.183 0.075 0.359
0.183 0.425 0.359
0.317 0.575 0.859
0.317 0.925 0.859
0.427 0.750 0.325
0.573 0.250 0.675
0.683 0.075 0.141
0.683 0.425 0.141
0.817 0.575 0.641
0.817 0.925 0.641
0.927 0.750 0.175
```

Results
calculated density = 5.4 g/cm³
E = -0.3792 Ry/atom



First-principles (PBE+U) data for a geometry-optimized LiMnP4O12 structure, as listed in the Materials Project.

```
LiMnP4O12
1.0
4.707 -6.793 0.000
4.707 6.793 0.000
-1.205 0.000 7.661
Li Mn P O
2 2 8 24
Direct
0.150 0.850 0.500
0.850 0.150 0.000
0.506 0.776 0.961
0.776 0.506 0.461
0.081 0.399 0.349
0.205 0.884 0.104
0.399 0.081 0.849
0.437 0.591 0.538
0.591 0.437 0.038
0.705 0.855 0.381
0.855 0.705 0.881
0.884 0.205 0.604
0.013 0.545 0.406
0.023 0.308 0.171
0.048 0.267 0.495
0.228 0.941 0.293
0.267 0.048 0.995
0.283 0.752 0.035
0.289 0.483 0.380
0.308 0.023 0.671
0.365 0.629 0.700
0.483 0.289 0.880
0.496 0.565 0.054
0.522 0.767 0.452
0.545 0.013 0.906
0.565 0.496 0.554
0.629 0.365 0.200
0.681 0.930 0.217
0.727 0.801 0.874
0.752 0.283 0.535
0.767 0.522 0.952
0.801 0.727 0.374
0.807 0.999 0.542
0.930 0.681 0.717
0.941 0.228 0.793
0.999 0.807 0.042
```

Results
calculated density = 2.6 g/cm³
spin magnetization = 4.00 μB per formula unit
E = -0.5232 Ry/atom
polymorph energy (0 for the lowest one) = 23 meV per atom



First-principles (PBE+U) data for a geometry-optimized VF5 structure, as listed in the Materials Project.

```
VF5
1.0
5.066 0.000 0.000
0.000 5.768 0.000
0.000 0.000 12.944
V F
4 20
Direct
0.180 0.110 0.406
0.320 0.890 0.906
0.680 0.390 0.594
0.820 0.610 0.094
0.032 0.837 0.010
0.074 0.902 0.497
0.094 0.591 0.175
0.128 0.085 0.837
0.186 0.639 0.848
0.314 0.361 0.348
0.372 0.915 0.337
0.406 0.409 0.675
0.426 0.098 0.997
0.468 0.163 0.510
0.532 0.663 0.990
0.574 0.598 0.503
0.594 0.909 0.825
0.628 0.415 0.163
0.686 0.861 0.152
0.814 0.139 0.652
0.872 0.585 0.663
0.906 0.091 0.325
0.926 0.402 0.003
0.968 0.337 0.490
```

Results
calculated density = 2.6 g/cm³
E = -0.3850 Ry/atom



First-principles (PBE+U) data for a geometry-optimized CoF3 structure, as listed in the Materials Project.

```
CoF3
1.0
3.874 0.000 0.000
-0.018 7.648 0.000
-0.026 -3.815 7.688
Co F
4 12
Direct
0.000 0.125 0.250
0.000 0.875 0.750
0.001 0.625 0.251
0.999 0.375 0.749
0.000 0.000 0.000
0.000 0.500 0.000
0.001 0.630 0.748
0.001 0.883 0.253
0.002 0.255 0.510
0.500 0.130 0.260
0.500 0.379 0.758
0.500 0.621 0.242
0.500 0.870 0.740
0.998 0.745 0.490
0.999 0.117 0.747
0.999 0.370 0.252
```

Results
calculated density = 3.4 g/cm³
spin magnetization = 0.00 μB per formula unit
E = -0.3364 Ry/atom



First-principles (PBE+U) data for a geometry-optimized LaTlW2O8 structure, as listed in the Materials Project.

```
LaTlW2O8
1.0
5.705 -5.872 0.000
5.705 5.872 0.000
-5.210 0.000 5.734
La Tl W O
2 2 4 16
Direct
0.231 0.231 0.050
0.769 0.769 0.950
0.219 0.781 0.500
0.781 0.219 0.500
0.260 0.260 0.504
0.342 0.658 0.000
0.658 0.342 0.000
0.740 0.740 0.496
0.043 0.043 0.307
0.171 0.402 0.721
0.177 0.394 0.354
0.180 0.685 0.100
0.315 0.820 0.900
0.394 0.177 0.354
0.402 0.171 0.721
0.479 0.479 0.161
0.521 0.521 0.839
0.598 0.829 0.279
0.606 0.823 0.646
0.685 0.180 0.100
0.820 0.315 0.900
0.823 0.606 0.646
0.829 0.598 0.279
0.957 0.957 0.693
```

Results
calculated density = 7.3 g/cm³
spin magnetization = 0.00 μB per formula unit
E = -0.5329 Ry/atom



Number 3 is which compound? Y6MgMn6O18